Here is a relaxed structure of VAg3HgO4 from the Materials Project. Energies are from GGA+U.

Lattice parameters (Å, degrees): 4.7629 5.9971 6.0232 81.66 67.27 67.10
Last column: nearest neighbours and their distance in Å.
Positions (direct):
V 0.0000 0.0000 0.0000  4 O 1.76
Ag 0.3933 0.7418 0.4157  3 O 2.39-2.43
Ag 0.5386 0.2622 0.6030  3 O 2.32-2.49
Ag 0.8668 0.5973 0.7451  3 O 2.35-2.47
Hg 0.2029 0.4084 0.2830  3 O 2.42-2.53
O 0.0454 0.0801 0.2502  1 V 1.76
O 0.3724 0.9207 0.7541  1 V 1.76
O 0.7039 0.2485 0.9218  1 V 1.76
O 0.8755 0.7500 0.0786  1 V 1.76

The value obtained for the density is 7.26 g/cm³. As for the calculated total energy: -43.62 eV/cell. For the largest piezoelectric modulus, the calculation gives 1.3 C/m2. The space group is P1, No. 1.